(1)
A relaxed structure of Ba2EuVO6. Source: the Materials Project database, functional PBE+U.

Summary:
Uncorrected energy, eV per atom: -7.64
Energy of formation, eV per formula unit: -29.4
Symmetry: Fm-3m, No. 225

a b c (Å): 5.9629 5.9629 5.9629
angles (deg): 60.00 60.00 60.00
With the nearest neighbours (Å) after each atom.
Positions (direct):
O 0.2729 0.2729 0.7271  1 V 1.91
Eu 0.0000 0.0000 0.0000  6 O 2.30
O 0.7271 0.7271 0.2729  1 V 1.91
O 0.2729 0.7271 0.7271  1 V 1.91
V 0.5000 0.5000 0.5000  6 O 1.91
O 0.7271 0.2729 0.2729  1 V 1.91
O 0.7271 0.2729 0.7271  1 V 1.91
Ba 0.2500 0.2500 0.2500  12 O 2.99
O 0.2729 0.7271 0.2729  1 V 1.91
Ba 0.7500 0.7500 0.7500  12 O 2.99

---

(2)
A relaxed structure of BaEuYVO6. Source: the Materials Project database, functional PBE+U.

Summary:
Uncorrected energy, eV per atom: -8.30
Energy of formation, eV per formula unit: -31.4
Symmetry: F-43m, No. 216

a b c (Å): 5.8632 5.8632 5.8632
angles (deg): 60.00 60.00 60.00
With the nearest neighbours (Å) after each atom.
Positions (direct):
Y 0.5000 0.5000 0.5000  6 O 2.23
O 0.2307 0.2307 0.7693  1 V 1.91
O 0.7693 0.2307 0.7693  1 V 1.91
O 0.7693 0.2307 0.2307  1 V 1.91
O 0.2307 0.7693 0.2307  1 V 1.91
O 0.7693 0.7693 0.2307  1 V 1.91
O 0.2307 0.7693 0.7693  1 V 1.91
Eu 0.2500 0.2500 0.2500  12 O 2.94
V 0.0000 0.0000 0.0000  6 O 1.91
Ba 0.7500 0.7500 0.7500  12 O 2.94